First-principles (PBE) data for crystalline SnP4O11 at its relaxed geometry, as listed in the Materials Project.

Lattice parameters (Å, degrees): 9.903 9.959 11.451 68.81 70.35 87.99
Space group P-1 (No. 2)
Asymmetric unit:
1 Sn 0.229 0.268 0.499 (multiplicity 2)
2 Sn 0.258 0.779 0.980 (multiplicity 2)
3 P 0.067 0.426 0.252 (multiplicity 2)
4 P 0.098 0.229 0.093 (multiplicity 2)
5 P 0.113 0.921 0.238 (multiplicity 2)
6 P 0.242 0.587 0.610 (multiplicity 2)
7 P 0.262 0.908 0.437 (multiplicity 2)
8 P 0.417 0.250 0.928 (multiplicity 2)
9 P 0.422 0.574 0.775 (multiplicity 2)
10 P 0.429 0.125 0.713 (multiplicity 2)
11 O 0.022 0.772 0.955 (multiplicity 2)
12 O 0.030 0.160 0.715 (multiplicity 2)
13 O 0.060 0.307 0.380 (multiplicity 2)
14 O 0.096 0.093 0.220 (multiplicity 2)
15 O 0.101 0.543 0.740 (multiplicity 2)
16 O 0.117 0.363 0.130 (multiplicity 2)
17 O 0.156 0.566 0.199 (multiplicity 2)
18 O 0.170 0.867 0.365 (multiplicity 2)
19 O 0.210 0.022 0.490 (multiplicity 2)
20 O 0.231 0.924 0.115 (multiplicity 2)
21 O 0.241 0.529 0.509 (multiplicity 2)
22 O 0.245 0.241 0.973 (multiplicity 2)
23 O 0.262 0.761 0.556 (multiplicity 2)
24 O 0.293 0.606 0.870 (multiplicity 2)
25 O 0.312 0.004 0.788 (multiplicity 2)
26 O 0.367 0.538 0.667 (multiplicity 2)
27 O 0.421 0.252 0.598 (multiplicity 2)
28 O 0.421 0.948 0.335 (multiplicity 2)
29 O 0.443 0.327 0.297 (multiplicity 2)
30 O 0.467 0.180 0.819 (multiplicity 2)
31 O 0.470 0.416 0.848 (multiplicity 2)
32 O 0.474 0.186 0.037 (multiplicity 2)

Results
Energy above the most stable polymorph in this dataset   0.26 eV per formula unit
Energy relative to the elements   -2.440 eV/atom
Energy   -6.973 eV/atom
Corrected total energy (MP2020 scheme)   -7.45 eV/atom